a | DFT (PBE with a Hubbard U) results for a relaxed structure of MgZn2Ni4O8.

Unit cell a=6.2235 b=6.2235 c=6.0292 alpha=118.68 beta=118.68 gamma=95.32
Closest atoms and distances in Å follow each position.
Sites, in units of the cell vectors:
1 Ni 0.5250 0.9342 0.4795  5 O 1.94-2.07
2 O 0.2359 0.7680 0.0398  1 Zn 1.88, 2 Ni 1.94
3 O 0.7622 0.2410 0.5381  1 Zn 2.01, 1 Mg 2.02, 3 Ni 2.07-2.23
4 Ni 0.0011 0.9991 0.0068  6 O 2.02-2.23
5 O 0.2320 0.7641 0.4602  1 Zn 1.88, 2 Ni 1.94
6 Zn 0.3134 0.6866 0.7500  2 O 1.88
7 O 0.7590 0.2378 0.9619  1 Zn 2.01, 1 Mg 2.02, 3 Ni 2.07-2.23
8 Mg 0.5916 0.4084 0.7500  4 O 1.91-2.02
9 O 0.7422 0.7935 0.0195  1 Mg 1.91, 2 Ni 2.02
10 Ni 0.0658 0.4750 0.0205  5 O 1.94-2.07
11 O 0.2378 0.2155 0.9749  3 Ni 2.00-2.05, 1 Zn 2.05
12 O 0.7845 0.7622 0.5251  3 Ni 2.00-2.05, 1 Zn 2.05
13 Ni 0.0009 0.9989 0.4932  6 O 2.02-2.23
14 O 0.2065 0.2578 0.4805  1 Mg 1.91, 2 Ni 2.02
15 Zn 0.6491 0.3509 0.2500  4 O 2.01-2.05

b | DFT (PBE with a Hubbard U) results for a relaxed structure of MgZn2Ni4O8.

Unit cell a=6.3003 b=6.0702 c=6.1443 alpha=60.40 beta=55.88 gamma=61.20
Closest atoms and distances in Å follow each position.
Sites, in units of the cell vectors:
1 O 0.3975 0.8239 0.3697  2 Ni 1.95-2.01, 1 Mg 2.01
2 Ni 0.6677 0.6003 0.1316  5 O 1.90-2.12
3 Ni 0.6282 0.6329 0.6208  5 O 1.98-2.12
4 O 0.3976 0.4088 0.3697  2 Ni 1.95-2.01, 1 Mg 2.01
5 O 0.8574 0.4368 0.8522  2 Ni 1.90-2.12, 2 Zn 1.90-2.01
6 O 0.8766 0.3691 0.3854  4 Ni 2.06-2.12
7 Zn 0.9130 0.0692 0.9487  3 O 1.90-2.03
8 O 0.8574 0.8536 0.8522  2 Ni 1.90-2.12, 2 Zn 1.90-2.01
9 Mg 0.1884 0.7843 0.2430  4 O 1.89-2.01
10 O 0.8129 0.9130 0.3611  1 Mg 1.89, 2 Ni 1.98, 1 Zn 2.03
11 O 0.4384 0.3444 0.8728  1 Zn 1.92, 3 Ni 1.99-2.04
12 Zn 0.1677 0.5477 0.7369  3 O 1.92-2.01
13 Ni 0.6282 0.1181 0.6208  5 O 1.98-2.12
14 Ni 0.2813 0.2173 0.2840  4 O 1.99-2.06
15 O 0.3565 0.9014 0.8407  1 Mg 1.95, 2 Ni 2.07-2.08

c | DFT (PBE with a Hubbard U) results for a relaxed structure of MgZn2Ni4O8.

Unit cell a=2.9133 b=5.1778 c=11.2634 alpha=90.00 beta=90.00 gamma=98.76
Closest atoms and distances in Å follow each position.
Sites, in units of the cell vectors:
1 Ni 0.8884 0.7025 0.0166  5 O 1.98-2.11
2 Zn 0.4878 0.3321 0.2500  4 O 1.95-2.00
3 Ni 0.0920 0.1943 0.6014  5 O 1.94-2.12
4 Mg 0.3401 0.8298 0.2500  4 O 1.91-1.96
5 O 0.4870 0.9609 0.5346  4 Ni 1.94-2.12
6 O 0.3585 0.5754 0.1216  1 Mg 1.96, 2 Ni 1.98-2.00, 1 Zn 1.99
7 O 0.9060 0.0727 0.2500  2 Mg 1.91-1.92, 2 Zn 1.95-2.00
8 Ni 0.0920 0.1943 0.8986  5 O 1.94-2.12
9 O 0.0910 0.9809 0.7500  2 Zn 1.98-2.03, 2 Ni 2.01
10 O 0.3585 0.5754 0.3784  1 Mg 1.96, 2 Ni 1.98-2.00, 1 Zn 1.99
11 Ni 0.8884 0.7025 0.4834  5 O 1.98-2.11
12 O 0.6739 0.4532 0.8806  3 Ni 1.95-2.04, 1 Zn 2.08
13 O 0.4870 0.9609 0.9654  4 Ni 1.94-2.12
14 Zn 0.5297 0.7119 0.7500  4 O 1.98-2.08
15 O 0.6739 0.4532 0.6194  3 Ni 1.95-2.04, 1 Zn 2.08

Which one sits at the top of the stability order? a does.

a | DFT (PBE with a Hubbard U) results for a relaxed structure of MgZn2Ni4O8.

Unit cell a=6.2329 b=6.1620 c=6.1693 alpha=57.14 beta=56.01 gamma=56.04
Closest atoms and distances in Å follow each position.
Sites, in units of the cell vectors:
1 O 0.7051 0.7340 0.7339  1 Zn 1.87, 3 Ni 1.89-1.97
2 Ni 0.5000 0.5000 0.0000  4 O 1.89-1.96
3 Zn 0.1728 0.1481 0.1451  4 O 1.87-2.09
4 O 0.2360 0.7531 0.7544  1 Zn 2.04, 1 Mg 2.07, 3 Ni 2.12-2.19
5 Ni 0.5000 0.5000 0.5000  6 O 2.12-2.17
6 Ni 0.0000 0.5000 0.5000  6 O 1.97-2.12
7 O 0.2949 0.2660 0.2661  1 Zn 1.87, 3 Ni 1.89-1.97
8 Ni 0.5000 0.0000 0.5000  4 O 1.89-1.96
9 O 0.7640 0.2469 0.2456  1 Zn 2.04, 1 Mg 2.07, 3 Ni 2.12-2.19
10 Mg 0.0000 0.0000 0.0000  6 O 2.07-2.13
11 Zn 0.8272 0.8519 0.8549  4 O 1.87-2.09
12 O 0.2620 0.7331 0.2353  3 Ni 1.96-2.17, 1 Zn 2.09, 1 Mg 2.13
13 O 0.7390 0.7641 0.2679  3 Ni 1.96-2.17, 1 Zn 2.09, 1 Mg 2.13
14 O 0.2610 0.2359 0.7321  3 Ni 1.96-2.17, 1 Zn 2.09, 1 Mg 2.13
15 O 0.7380 0.2669 0.7647  3 Ni 1.96-2.17, 1 Zn 2.09, 1 Mg 2.13

b | DFT (PBE with a Hubbard U) results for a relaxed structure of MgZn2Ni4O8.

Unit cell a=2.9907 b=5.5508 c=9.5409 alpha=90.00 beta=90.00 gamma=104.34
Closest atoms and distances in Å follow each position.
Sites, in units of the cell vectors:
1 O 0.4854 0.9566 0.9791  4 Ni 2.10-2.21, 1 Zn 2.19
2 Ni 0.1191 0.2340 0.5356  6 O 1.97-2.17
3 O 0.9612 0.9277 0.2500  2 Zn 2.05-2.07, 2 Ni 2.05
4 Ni 0.1191 0.2340 0.9644  6 O 1.97-2.17
5 O 0.4854 0.9566 0.5209  4 Ni 2.10-2.21, 1 Zn 2.19
6 O 0.2150 0.4427 0.3653  3 Ni 1.97-2.21, 1 O 2.20
7 Ni 0.8541 0.7157 0.0717  6 O 2.00-2.21
8 O 0.0873 0.1521 0.7500  2 Zn 1.84-1.85, 1 Mg 1.90
9 O 0.7444 0.5018 0.6000  3 Ni 2.00-2.17, 2 Mg 2.06-2.08
10 Ni 0.8541 0.7157 0.4283  6 O 2.00-2.21
11 Zn 0.4968 0.9520 0.7500  2 O 1.84-1.85
12 Mg 0.2404 0.5050 0.7500  5 O 1.90-2.08
13 Zn 0.5870 0.1906 0.2500  4 O 2.05-2.28
14 O 0.2150 0.4427 0.1347  3 Ni 1.97-2.21, 1 O 2.20
15 O 0.7444 0.5018 0.9000  3 Ni 2.00-2.17, 2 Mg 2.06-2.08

Which one sits at the top of the stability order? a does.

a | DFT (PBE with a Hubbard U) results for a relaxed structure of MgZn2Ni3O8.

Unit cell a=5.0825 b=5.8921 c=5.8062 alpha=122.83 beta=93.03 gamma=93.73
Closest atoms and distances in Å follow each position.
Sites, in units of the cell vectors:
1 O 0.6866 0.6284 0.7663  1 Zn 1.94, 2 Ni 1.98-2.17, 1 Mg 2.16
2 Ni 0.0074 0.7668 0.0351  6 O 1.90-2.05
3 Zn 0.5351 0.7070 0.3573  4 O 1.94-2.09
4 O 0.8800 0.6095 0.2259  2 Ni 1.90-2.04, 1 Zn 1.94, 1 Mg 2.09
5 O 0.1588 0.8760 0.8064  3 Ni 1.88-2.05, 1 Mg 2.02
6 Zn 0.4649 0.2930 0.6427  4 O 1.94-2.09
7 Mg 0.0000 0.5000 0.5000  6 O 2.02-2.16
8 O 0.8412 0.1240 0.1936  3 Ni 1.88-2.05, 1 Mg 2.02
9 O 0.1200 0.3905 0.7741  2 Ni 1.90-2.04, 1 Zn 1.94, 1 Mg 2.09
10 O 0.3134 0.3716 0.2337  1 Zn 1.94, 2 Ni 1.98-2.17, 1 Mg 2.16
11 O 0.6469 0.0669 0.7421  2 Ni 1.92-1.97, 2 Zn 1.97-2.09
12 O 0.3531 0.9331 0.2579  2 Ni 1.92-1.97, 2 Zn 1.97-2.09
13 Ni 0.9926 0.2332 0.9649  6 O 1.90-2.05
14 Ni 0.5000 0.0000 0.0000  4 O 1.88-1.92

b | DFT (PBE with a Hubbard U) results for a relaxed structure of MgZn2Ni3O8.

Unit cell a=5.3051 b=5.7663 c=5.7483 alpha=120.10 beta=96.96 gamma=90.00
Closest atoms and distances in Å follow each position.
Sites, in units of the cell vectors:
1 Ni 0.0118 0.7654 0.0289  4 O 1.90-1.96
2 Zn 0.5992 0.7154 0.4308  5 O 2.03-2.12
3 O 0.8846 0.1203 0.2407  3 Ni 1.96-2.14, 1 Mg 2.00, 1 Zn 2.14
4 Ni 0.0118 0.2635 0.0289  4 O 1.90-1.96
5 O 0.0843 0.4004 0.8009  1 Zn 1.85, 2 Ni 1.91, 1 Mg 2.01
6 O 0.6493 0.6701 0.7776  1 Ni 1.91, 1 Mg 1.96, 1 Zn 2.12
7 O 0.9109 0.6184 0.2368  2 Ni 1.90, 1 Zn 2.03
8 Zn 0.2455 0.2468 0.4936  3 O 1.85-2.00
9 O 0.3973 0.9032 0.2549  1 Ni 1.94, 2 Zn 2.00-2.04
10 Mg 0.7329 0.2936 0.5871  4 O 1.96-2.01
11 Ni 0.5139 0.0044 0.0088  6 O 1.91-2.14
12 O 0.6493 0.1074 0.7776  1 Ni 1.91, 1 Mg 1.96, 1 Zn 2.12
13 O 0.3973 0.3517 0.2549  1 Ni 1.94, 2 Zn 2.00-2.04
14 O 0.1479 0.9203 0.8405  3 Ni 1.91-2.00

Which one sits at the top of the stability order? a does.